Density functional theory data (PBE) for an optimized crystal structure of Tb3CuSe6.

Cell: 7.780 7.115 17.111 Å, 89.60 90.00 90.00°
Atoms (fractional coordinates):
Tb1 0.940 0.266 0.750
Tb2 0.060 0.734 0.250
Tb3 0.560 0.266 0.250
Tb4 0.440 0.734 0.750
Tb5 0.558 0.239 0.588
Tb6 0.442 0.768 0.091
Tb7 0.942 0.232 0.409
Tb8 0.058 0.761 0.912
Tb9 0.442 0.761 0.412
Tb10 0.558 0.232 0.909
Tb11 0.058 0.768 0.591
Tb12 0.942 0.239 0.088
Cu1 0.211 0.394 0.527
Cu2 0.711 0.606 0.973
Cu3 0.789 0.606 0.473
Cu4 0.289 0.394 0.027
Se1 0.909 0.390 0.582
Se2 0.092 0.618 0.081
Se3 0.592 0.382 0.419
Se4 0.409 0.610 0.918
Se5 0.091 0.610 0.418
Se6 0.908 0.382 0.919
Se7 0.408 0.618 0.581
Se8 0.591 0.390 0.082
Se9 0.597 0.381 0.749
Se10 0.403 0.619 0.251
Se11 0.903 0.381 0.249
Se12 0.097 0.619 0.751
Se13 0.250 0.078 0.679
Se14 0.751 0.925 0.177
Se15 0.251 0.075 0.323
Se16 0.750 0.922 0.821
Se17 0.750 0.922 0.321
Se18 0.249 0.075 0.823
Se19 0.749 0.925 0.677
Se20 0.250 0.078 0.179
Se21 0.251 0.064 0.499
Se22 0.751 0.936 0.001
Se23 0.749 0.936 0.501
Se24 0.249 0.064 0.999

magnetization = 0.00 Bohr magnetons per cell
DFT formation energy = -17.06 eV per formula unit
space-group type = No. 14

=====

Density functional theory data (PBE) for an optimized crystal structure of CeGaO3.

Cell: 5.492 5.589 7.869 Å, 90.00 90.00 90.00°
Atoms (fractional coordinates):
Ce1 0.510 0.539 0.250
Ce2 0.990 0.039 0.250
Ce3 0.490 0.461 0.750
Ce4 0.010 0.961 0.750
Ga1 0.500 0.000 0.000
Ga2 0.000 0.500 0.500
Ga3 0.500 0.000 0.500
Ga4 0.000 0.500 0.000
O1 0.418 0.982 0.250
O2 0.082 0.482 0.250
O3 0.582 0.018 0.750
O4 0.918 0.518 0.750
O5 0.790 0.790 0.043
O6 0.710 0.290 0.457
O7 0.210 0.210 0.543
O8 0.290 0.710 0.957
O9 0.210 0.210 0.957
O10 0.290 0.710 0.543
O11 0.790 0.790 0.457
O12 0.710 0.290 0.043

magnetization = 4.00 Bohr magnetons per cell
DFT formation energy = -14.98 eV per formula unit
space-group type = No. 62

=====

Density functional theory data (PBE) for an optimized crystal structure of MgTe4Mo3WS4.

Cell: 3.352 3.352 38.122 Å, 90.00 90.00 120.00°
Atoms (fractional coordinates):
Mg1 0.365 0.702 0.874
Te1 0.333 0.667 0.707
Te2 0.667 0.333 0.044
Te3 0.667 0.333 0.144
Te4 0.333 0.667 0.608
Mo1 0.333 0.667 0.094
Mo2 0.667 0.333 0.282
Mo3 0.667 0.333 0.658
W1 0.333 0.667 0.470
S1 0.333 0.667 0.322
S2 0.667 0.333 0.430
S3 0.667 0.333 0.509
S4 0.333 0.667 0.242

magnetization = 0.01 Bohr magnetons per cell
DFT formation energy = -7.04 eV per formula unit
space-group type = No. 1
ΔE to the lowest computed polymorph = 0.033 eV/atom

=====

Density functional theory data (PBE) for an optimized crystal structure of SiO2.

Cell: 4.864 4.864 4.864 Å, 121.83 107.36 100.04°
Atoms (fractional coordinates):
Si1 0.000 0.250 0.250
Si2 0.000 0.750 0.750
O1 0.985 0.633 0.353
O2 0.720 0.867 0.853
O3 0.280 0.133 0.147
O4 0.015 0.367 0.647

magnetization = 0.00 Bohr magnetons per cell
DFT formation energy = -8.55 eV per formula unit
space-group type = No. 72

=====

Density functional theory data (PBE) for an optimized crystal structure of Al2C3N6.

Cell: 9.753 9.753 9.753 Å, 32.69 32.69 32.69°
Atoms (fractional coordinates):
Al1 0.335 0.335 0.335
Al2 0.835 0.835 0.835
Al3 0.665 0.665 0.665
Al4 0.165 0.165 0.165
C1 0.250 0.937 0.563
C2 0.563 0.250 0.937
C3 0.937 0.563 0.250
C4 0.437 0.750 0.063
C5 0.063 0.437 0.750
C6 0.750 0.063 0.437
N1 0.459 0.850 0.071
N2 0.071 0.459 0.850
N3 0.850 0.071 0.459
N4 0.350 0.959 0.571
N5 0.571 0.350 0.959
N6 0.959 0.571 0.350
N7 0.541 0.150 0.929
N8 0.929 0.541 0.150
N9 0.150 0.929 0.541
N10 0.650 0.041 0.429
N11 0.429 0.650 0.041
N12 0.041 0.429 0.650

magnetization = 0.00 Bohr magnetons per cell
DFT formation energy = -6.72 eV per formula unit
space-group type = No. 167

=====

Density functional theory data (PBE) for an optimized crystal structure of RbC2I3N2.

Cell: 4.612 7.362 16.095 Å, 90.00 90.00 90.00°
Atoms (fractional coordinates):
Rb1 0.152 0.000 0.500
Rb2 0.848 0.500 0.000
C1 0.284 0.500 0.801
C2 0.284 0.500 0.199
C3 0.716 0.000 0.699
C4 0.716 0.000 0.301
I1 0.877 0.000 0.180
I2 0.174 0.000 0.000
I3 0.123 0.500 0.320
I4 0.123 0.500 0.680
I5 0.877 0.000 0.820
I6 0.826 0.500 0.500
N1 0.369 0.500 0.869
N2 0.631 0.000 0.631
N3 0.369 0.500 0.131
N4 0.631 0.000 0.369

magnetization = 0.00 Bohr magnetons per cell
DFT formation energy = -0.57 eV per formula unit
space-group type = No. 59

=====

Density functional theory data (PBE) for an optimized crystal structure of Rb3Tl.

Cell: 6.947 6.947 6.947 Å, 60.00 60.00 60.00°
Atoms (fractional coordinates):
Rb1 0.250 0.250 0.250
Rb2 0.750 0.750 0.750
Rb3 0.500 0.500 0.500
Tl1 0.000 0.000 0.000

magnetization = 0.51 Bohr magnetons per cell
DFT formation energy = 0.26 eV per formula unit
space-group type = No. 225

=====

Density functional theory data (PBE) for an optimized crystal structure of Na3YZr3Si3S3O24.

Cell: 9.114 9.188 23.519 Å, 89.72 90.50 120.32°
Atoms (fractional coordinates):
Na1 0.351 0.356 0.240
Na2 0.634 0.622 0.757
Na3 0.970 0.287 0.417
Na4 0.992 0.011 0.499
Na5 0.995 0.983 0.003
Na6 0.661 0.343 0.832
Na7 0.673 0.318 0.330
Na8 0.299 0.649 0.162
Na9 0.284 0.639 0.667
Y1 0.995 0.002 0.355
Y2 0.679 0.336 0.687
Y3 0.689 0.346 0.180
Zr1 0.006 0.994 0.854
Zr2 0.014 0.017 0.648
Zr3 0.010 0.014 0.144
Zr4 0.664 0.357 0.983
Zr5 0.661 0.319 0.480
Zr6 0.338 0.659 0.020
Zr7 0.337 0.657 0.518
Zr8 0.339 0.662 0.316
Zr9 0.323 0.655 0.813
Si1 0.000 0.300 0.253
Si2 0.293 0.294 0.753
Si3 0.007 0.718 0.749
Si4 0.966 0.332 0.582
Si5 0.972 0.642 0.082
Si6 0.372 0.335 0.087
Si7 0.628 0.673 0.915
Si8 0.621 0.958 0.418
Si9 0.342 0.375 0.417
S1 0.290 0.994 0.250
S2 0.701 0.706 0.250
S3 0.711 0.994 0.752
S4 0.368 0.035 0.583
S5 0.670 0.630 0.583
S6 0.667 0.039 0.080
S7 0.037 0.372 0.917
S8 0.339 0.958 0.917
S9 0.044 0.660 0.418
O1 0.206 0.009 0.300
O2 0.800 0.780 0.302
O3 0.993 0.204 0.312
O4 0.189 0.183 0.808
O5 0.979 0.809 0.805
O6 0.813 0.015 0.803
O7 0.791 0.972 0.700
O8 0.178 0.207 0.695
O9 0.021 0.830 0.693
O10 0.788 0.804 0.199
O11 0.024 0.194 0.199
O12 0.184 0.973 0.198
O13 0.878 0.354 0.638
O14 0.468 0.112 0.634
O15 0.642 0.534 0.637
O16 0.905 0.527 0.138
O17 0.639 0.109 0.133
O18 0.465 0.357 0.147
O19 0.474 0.312 0.033
O20 0.845 0.539 0.027
O21 0.691 0.146 0.030
O22 0.454 0.143 0.532
O23 0.685 0.538 0.534
O24 0.851 0.314 0.524
O25 0.525 0.688 0.968
O26 0.143 0.457 0.968
O27 0.314 0.855 0.967
O28 0.518 0.850 0.474
O29 0.312 0.474 0.469
O30 0.145 0.681 0.470
O31 0.124 0.636 0.367
O32 0.507 0.866 0.361
O33 0.360 0.486 0.358
O34 0.118 0.478 0.865
O35 0.352 0.873 0.865
O36 0.516 0.652 0.856
O37 0.022 0.806 0.413
O38 0.810 0.982 0.418
O39 0.174 0.190 0.416
O40 0.026 0.206 0.912
O41 0.187 0.980 0.912
O42 0.818 0.843 0.911
O43 0.981 0.159 0.586
O44 0.197 0.019 0.585
O45 0.824 0.800 0.587
O46 0.977 0.822 0.090
O47 0.820 0.020 0.087
O48 0.179 0.167 0.087
O49 0.686 0.139 0.748
O50 0.483 0.321 0.750
O51 0.836 0.533 0.748
O52 0.665 0.529 0.246
O53 0.835 0.321 0.250
O54 0.458 0.151 0.245
O55 0.643 0.500 0.920
O56 0.866 0.350 0.922
O57 0.495 0.127 0.921
O58 0.648 0.152 0.422
O59 0.517 0.371 0.426
O60 0.875 0.501 0.422
O61 0.350 0.500 0.075
O62 0.161 0.674 0.068
O63 0.517 0.867 0.073
O64 0.347 0.865 0.576
O65 0.519 0.652 0.577
O66 0.156 0.501 0.576
O67 0.310 0.843 0.253
O68 0.531 0.696 0.253
O69 0.182 0.488 0.254
O70 0.314 0.485 0.757
O71 0.178 0.704 0.757
O72 0.542 0.835 0.756

magnetization = 0.00 Bohr magnetons per cell
DFT formation energy = -106.57 eV per formula unit
space-group type = No. 1